A geometry-optimized Nd2GeO5 structure, computed with PBE.

Summary:
- ΔE_f: -2714 meV per atom
- Symmetry: P2_1/c (14)
- Energy above the lowest structure with this stoichiometry: 549 meV per atom
- Spin magnetization: 0.00 Bohr magnetons per cell

```
data_Nd2GeO5
_symmetry_space_group_name_H-M 'P 1'
_symmetry_Int_Tables_number 1
_cell_length_a 10.177
_cell_length_b 7.330
_cell_length_c 7.055
_cell_angle_alpha 90.00
_cell_angle_beta 107.63
_cell_angle_gamma 90.00
loop_
_symmetry_equiv_pos_as_xyz
'x,y,z'
loop_
_atom_site_label
_atom_site_fract_x
_atom_site_fract_y
_atom_site_fract_z
Nd1 0.031 0.119 0.244
Nd2 0.031 0.381 0.744
Nd3 0.350 0.150 0.078
Nd4 0.350 0.350 0.578
Nd5 0.650 0.650 0.422
Nd6 0.650 0.850 0.922
Nd7 0.969 0.619 0.256
Nd8 0.969 0.881 0.756
Ge1 0.291 0.633 0.018
Ge2 0.291 0.867 0.518
Ge3 0.709 0.133 0.482
Ge4 0.709 0.367 0.982
O1 0.101 0.641 0.977
O2 0.101 0.859 0.477
O3 0.110 0.117 0.953
O4 0.110 0.383 0.453
O5 0.283 0.078 0.361
O6 0.283 0.422 0.861
O7 0.323 0.040 0.749
O8 0.323 0.460 0.249
O9 0.472 0.111 0.814
O10 0.472 0.389 0.314
O11 0.528 0.611 0.686
O12 0.528 0.889 0.186
O13 0.677 0.540 0.751
O14 0.677 0.960 0.251
O15 0.717 0.578 0.139
O16 0.717 0.922 0.639
O17 0.890 0.617 0.547
O18 0.890 0.883 0.047
O19 0.899 0.141 0.523
O20 0.899 0.359 0.023
```